(1)
! HoCo5, optimized geometry, DFT r2SCAN; values from VASP
! Total energy: -16.607 eV/atom
&SYSTEM
  ibrav = 0, nat = 6, ntyp = 2
/
ATOMIC_SPECIES
Ho 164.93 Ho.upf
Co 58.93 Co.upf
ATOMIC_POSITIONS angstrom
Ho 0.000 0.000 0.000
Co -1.226 2.124 1.956
Co 0.000 2.832 0.000
Co 2.453 0.000 1.956
Co 1.226 2.124 1.956
Co 2.453 1.416 0.000
CELL_PARAMETERS angstrom
4.905 0.000 0.000
-2.453 4.248 0.000
0.000 0.000 3.912



(2)
! RbBaScSi3O9, optimized geometry, DFT r2SCAN; values from VASP
! Total energy: -11.981 eV/atom
&SYSTEM
  ibrav = 0, nat = 60, ntyp = 5
/
ATOMIC_SPECIES
Rb 85.47 Rb.upf
Ba 137.33 Ba.upf
Sc 44.96 Sc.upf
Si 28.09 Si.upf
O 16.00 O.upf
ATOMIC_POSITIONS angstrom
Rb -1.775 0.551 5.009
Rb -5.256 4.569 10.955
Rb 5.276 5.671 0.937
Rb 1.795 9.690 6.883
Ba -5.153 0.610 10.846
Ba -1.672 4.510 4.900
Ba 1.692 5.730 6.992
Ba 5.173 9.630 1.046
Sc -1.778 5.159 8.731
Sc 1.703 10.201 2.785
Sc -1.683 0.039 9.107
Sc 1.798 5.081 3.161
Si -3.533 2.538 7.408
Si -0.052 2.582 1.462
Si -3.932 7.643 9.706
Si -0.451 7.717 3.760
Si 2.175 7.531 0.691
Si -1.306 7.829 6.637
Si 1.326 2.411 5.255
Si -2.155 2.709 11.201
Si 0.471 2.523 8.132
Si 3.952 2.597 2.186
Si 0.072 7.658 10.430
Si 3.553 7.702 4.484
O -1.378 2.544 2.456
O -4.859 2.576 8.402
O 0.663 7.317 0.056
O -2.818 8.043 6.002
O 0.577 1.101 1.322
O -2.904 4.019 7.268
O -3.441 6.450 8.762
O 0.040 8.910 2.816
O -2.602 1.304 7.770
O 0.879 3.816 1.824
O 0.051 6.217 3.508
O -3.430 9.143 9.455
O -3.756 7.232 11.297
O -0.275 8.129 5.351
O -1.041 6.283 7.016
O 2.440 9.078 1.070
O 1.000 1.281 4.190
O -2.481 3.839 10.136
O 2.501 6.401 1.756
O -0.980 8.960 7.702
O -2.419 1.163 10.822
O 1.062 3.958 4.876
O 0.295 2.112 6.541
O 3.776 3.009 0.595
O 3.450 1.097 2.438
O -0.030 4.023 8.384
O -0.859 6.424 10.068
O 2.622 8.936 4.122
O -0.020 1.330 9.076
O 3.461 3.790 3.130
O 2.924 6.221 4.624
O -0.557 9.139 10.570
O 2.838 2.197 5.890
O -0.643 2.923 11.836
O 4.879 7.664 3.491
O 1.398 7.696 9.437
CELL_PARAMETERS angstrom
6.982 0.000 0.000
0.000 10.240 0.000
-6.962 0.000 11.892



(3)
! LiErGe, optimized geometry, DFT r2SCAN; values from VASP
! Total energy: -17.539 eV/atom
&SYSTEM
  ibrav = 0, nat = 9, ntyp = 3
/
ATOMIC_SPECIES
Li 6.94 Li.upf
Er 167.26 Er.upf
Ge 72.64 Ge.upf
ATOMIC_POSITIONS angstrom
Li -0.812 1.407 0.000
Li 1.625 0.000 0.000
Li 2.674 4.631 0.000
Er -2.007 3.475 2.098
Er 1.480 2.563 2.098
Er 4.013 0.000 2.098
Ge 0.000 0.000 2.098
Ge 0.000 4.025 0.000
Ge 3.486 2.013 0.000
CELL_PARAMETERS angstrom
6.972 0.000 0.000
-3.486 6.038 0.000
0.000 0.000 4.195



(4)
! Tm5Si2Sb2, optimized geometry, DFT r2SCAN; values from VASP
! Total energy: -28.203 eV/atom
&SYSTEM
  ibrav = 0, nat = 18, ntyp = 3
/
ATOMIC_SPECIES
Tm 168.93 Tm.upf
Si 28.09 Si.upf
Sb 121.76 Sb.upf
ATOMIC_POSITIONS angstrom
Tm 0.000 0.000 0.000
Tm 5.578 2.597 5.148
Tm 5.578 1.266 1.274
Tm 9.279 2.597 5.148
Tm 9.279 1.266 1.274
Tm 7.429 0.000 3.874
Tm 5.578 -1.266 6.473
Tm 5.578 -2.597 2.600
Tm 9.279 -1.266 6.473
Tm 9.279 -2.597 2.600
Si 7.429 2.824 2.843
Si 7.429 1.039 6.717
Si 7.429 -1.039 1.031
Si 7.429 -2.824 4.905
Sb 3.050 0.000 0.000
Sb 4.379 0.000 3.874
Sb 10.479 0.000 3.874
Sb 11.808 0.000 0.000
CELL_PARAMETERS angstrom
7.429 -3.863 0.000
7.429 3.863 0.000
0.000 0.000 7.747



(5)
! NbMoW, optimized geometry, DFT r2SCAN; values from VASP
! Total energy: -34.098 eV/atom
&SYSTEM
  ibrav = 0, nat = 3, ntyp = 3
/
ATOMIC_SPECIES
Nb 92.91 Nb.upf
Mo 95.94 Mo.upf
W 183.84 W.upf
ATOMIC_POSITIONS angstrom
Nb 0.000 0.000 0.000
Mo 1.604 2.273 4.499
W 1.604 2.273 9.131
CELL_PARAMETERS angstrom
0.000 2.273 6.808
1.604 0.000 6.808
1.604 2.273 0.000



(6)
! Y2Al3Si2, optimized geometry, DFT r2SCAN; values from VASP
! Total energy: -11.770 eV/atom
&SYSTEM
  ibrav = 0, nat = 7, ntyp = 3
/
ATOMIC_SPECIES
Y 88.91 Y.upf
Al 26.98 Al.upf
Si 28.09 Si.upf
ATOMIC_POSITIONS angstrom
Y 0.809 0.000 2.088
Y 8.070 0.000 4.394
Al 0.865 0.000 5.628
Al 5.078 0.000 0.000
Al 8.014 0.000 0.855
Si 3.687 0.000 2.324
Si 5.192 0.000 4.159
CELL_PARAMETERS angstrom
5.078 -2.020 0.000
5.078 2.020 0.000
-1.278 0.000 6.482